## CdMoO2 (GGA+U)

Data for CdMoO2 after structural relaxation.

Unit cell a=7.127 b=7.127 c=7.127 alpha=125.63 beta=125.63 gamma=80.50
Element x y z (fractional)
Mo  0.875  0.125  0.250
Mo  0.875  0.625  0.750
Mo  0.375  0.125  0.250
Mo  0.875  0.125  0.750
O  0.688  0.411  0.276
O  0.161  0.938  0.776
O  0.062  0.839  0.224
O  0.589  0.312  0.724
O  0.161  0.385  0.224
O  0.135  0.411  0.724
O  0.589  0.865  0.276
O  0.615  0.839  0.776
Cd  0.875  0.625  0.250
Cd  0.375  0.125  0.750
Cd  0.375  0.625  0.250
Cd  0.375  0.625  0.750

Output
Calculated formation energy: -1074 meV/atom
Space group: I4_1/amd (141)

## Mn7V5O16 (GGA+U)

Data for Mn7V5O16 after structural relaxation.

Unit cell a=5.902 b=12.174 c=10.594 alpha=90.01 beta=123.89 gamma=90.00
Element x y z (fractional)
Mn  0.507  0.751  0.507
Mn  0.875  0.125  0.875
Mn  0.125  0.875  0.125
Mn  0.493  0.249  0.493
Mn  0.507  0.749  0.007
Mn  0.125  0.625  0.625
Mn  0.875  0.375  0.375
Mn  0.121  0.370  0.121
Mn  0.500  0.000  0.500
Mn  0.500  0.500  0.000
Mn  0.121  0.130  0.621
Mn  0.879  0.630  0.879
Mn  0.493  0.251  0.993
Mn  0.879  0.870  0.379
V  0.505  0.122  0.246
V  0.987  0.122  0.246
V  0.495  0.622  0.254
V  0.505  0.378  0.746
V  0.013  0.878  0.754
V  0.500  0.500  0.500
V  0.013  0.622  0.254
V  0.500  0.000  0.000
V  0.987  0.378  0.746
V  0.495  0.878  0.754
O  0.287  0.123  0.014
O  0.260  0.623  0.486
O  0.248  0.014  0.248
O  0.752  0.732  0.252
O  0.291  0.623  0.025
O  0.291  0.877  0.525
O  0.266  0.503  0.266
O  0.240  0.377  0.975
O  0.248  0.232  0.248
O  0.760  0.877  0.525
O  0.259  0.739  0.259
O  0.734  0.497  0.734
O  0.752  0.768  0.752
O  0.752  0.986  0.752
O  0.741  0.261  0.741
O  0.259  0.761  0.759
O  0.287  0.377  0.514
O  0.760  0.623  0.025
O  0.734  0.003  0.234
O  0.741  0.239  0.241
O  0.740  0.123  0.014
O  0.266  0.997  0.766
O  0.740  0.377  0.514
O  0.248  0.486  0.748
O  0.709  0.377  0.975
O  0.260  0.877  0.986
O  0.752  0.514  0.252
O  0.709  0.123  0.475
O  0.248  0.268  0.748
O  0.713  0.877  0.986
O  0.713  0.623  0.486
O  0.240  0.123  0.475

Output
Calculated formation energy: -2249 meV/atom
Space group: Pnnm (58)

> calculated formation energy of number 1 (CdMoO2)?

-1074 meV/atom